# 1
Li9Mn2Co5O16 | PBE+U | optimized geometry

The structure in POSCAR format:
```
Li9Mn2Co5O16
1.0
2.968 0.000 0.000
-0.158 5.055 0.000
-0.559 -1.231 19.257
Li Mn Co O
9 2 5 16
direct
0.000 0.000 0.000
0.000 0.126 0.376
0.001 0.253 0.747
0.011 0.501 0.497
0.495 0.012 0.497
0.499 0.505 0.000
0.500 0.243 0.256
0.502 0.748 0.749
0.988 0.755 0.258
0.499 0.876 0.127
0.500 0.127 0.874
0.000 0.627 0.875
0.001 0.877 0.624
0.500 0.377 0.624
0.500 0.625 0.376
0.998 0.377 0.127
0.017 0.793 0.430
0.037 0.694 0.067
0.039 0.188 0.566
0.041 0.929 0.816
0.490 0.557 0.182
0.491 0.436 0.818
0.495 0.684 0.570
0.498 0.355 0.431
0.502 0.899 0.321
0.504 0.073 0.680
0.507 0.819 0.932
0.510 0.192 0.070
0.959 0.565 0.681
0.960 0.324 0.934
0.962 0.061 0.187
0.984 0.460 0.322
```

Computed properties:
energy with MP2020 corrections = -207.7 eV per formula unit
calculated total energy = -5.785 eV/atom
ΔH_f (0 K) = -57.4 eV per formula unit
M_tot = 0.31 μB per atom

# 2
MgV4O8 | PBE+U | optimized geometry

The structure in POSCAR format:
```
MgV4O8
1.0
5.632 0.000 0.000
2.719 4.935 0.000
0.027 0.007 6.616
Mg V O
1 4 8
direct
0.000 0.000 0.000
0.229 0.228 0.717
0.232 0.231 0.276
0.553 0.552 0.495
0.734 0.733 0.996
0.372 0.939 0.996
0.396 0.920 0.496
0.443 0.443 0.702
0.447 0.444 0.286
0.847 0.844 0.194
0.848 0.850 0.801
0.921 0.395 0.496
0.939 0.372 0.994
```

Computed properties:
energy with MP2020 corrections = -106.0 eV per formula unit
calculated total energy = -7.211 eV/atom
ΔH_f (0 K) = -28.5 eV per formula unit
M_tot = 0.46 μB per atom